## SmAl2Ge2 (meta-GGA r2SCAN)

Data for crystalline SmAl2Ge2 at its relaxed geometry.

Structure (extended XYZ):
```
5
Lattice="3.252 1.576 2.226 0.291 -3.862 -1.736 2.559 2.748 -5.685" Properties=species:S:1:pos:R:3 pbc="T T T"
Sm 0.000 0.000 0.000
Al 3.184 0.750 -1.137
Al 2.917 -0.289 -4.058
Ge 4.146 1.783 -3.274
Ge 1.955 -1.322 -1.921
```

Output
- Formation enthalpy at 0 K: -0.513 eV per atom
- Space group: P-3m1